1.
A relaxed La16Mo21O56 crystal, computed with PBE with a Hubbard U.

a b c (Å): 13.7735 13.7312 13.7344
angles (deg): 90.00 100.15 90.00
Space group P2_1/c (No. 14)
Asymmetric unit:
La (0.1118, 0.1086, 0.0499) x4
La (0.1263, 0.6718, 0.6375) x4
La (0.1390, 0.1937, 0.7734) x4
La (0.1520, 0.5933, 0.3676) x4
La (0.3217, 0.6237, 0.1454) x4
La (0.3287, 0.1871, 0.5742) x4
La (0.3580, 0.6676, 0.8582) x4
La (0.3655, 0.1166, 0.2811) x4
Mo (0.0409, 0.5030, 0.7827) x4
Mo (0.0522, 0.1433, 0.4183) x4
Mo (0.0715, 0.6489, 0.9347) x4
Mo (0.0846, 0.0100, 0.5745) x4
Mo (0.2004, 0.0060, 0.4253) x4
Mo (0.3511, 0.5645, 0.5694) x4
Mo (0.3524, 0.0903, 0.9138) x4
Mo (0.4771, 0.0757, 0.7822) x4
Mo (0.4860, 0.7142, 0.5744) x4
Mo (0.4866, 0.5695, 0.4260) x4
Mo (0.5000, 0.0000, 0.5000) x2
O (0.0119, 0.5042, 0.6207) x4
O (0.0288, 0.1403, 0.2621) x4
O (0.0424, 0.6544, 0.7814) x4
O (0.0454, 0.2110, 0.9081) x4
O (0.0745, 0.7030, 0.4530) x4
O (0.0858, 0.1629, 0.5776) x4
O (0.1071, 0.6432, 0.0934) x4
O (0.1094, 0.0183, 0.7278) x4
O (0.1859, 0.5090, 0.7765) x4
O (0.1985, 0.5516, 0.5487) x4
O (0.2032, 0.0949, 0.9107) x4
O (0.2026, 0.1547, 0.4184) x4
O (0.2266, 0.6381, 0.9480) x4
O (0.2385, 0.0236, 0.5758) x4
O (0.2437, 0.2087, 0.1764) x4
O (0.2532, 0.7258, 0.2546) x4
O (0.3299, 0.0892, 0.7651) x4
O (0.3326, 0.5626, 0.4096) x4
O (0.3391, 0.7162, 0.5659) x4
O (0.3537, 0.0144, 0.4175) x4
O (0.3623, 0.0932, 0.0694) x4
O (0.3637, 0.2380, 0.9135) x4
O (0.3747, 0.5590, 0.7232) x4
O (0.4615, 0.0819, 0.6233) x4
O (0.4649, 0.6334, 0.0680) x4
O (0.4701, 0.5733, 0.2721) x4
O (0.4844, 0.7211, 0.4274) x4
O (0.4885, 0.2241, 0.7757) x4

Summary:
ΔH_f (0 K)	-2.58	eV/atom

***

2.
A relaxed Li4CrP2O8F2 crystal, computed with PBE with a Hubbard U.

a b c (Å): 6.4708 10.0172 10.0644
angles (deg): 60.24 89.90 89.85
Space group P1 (No. 1)
Asymmetric unit:
Li (0.0000, 0.0000, 0.0000) x1
Li (0.0009, 0.4954, 0.4717) x1
Li (0.0028, 0.9587, 0.5096) x1
Li (0.3167, 0.4878, 0.9887) x1
Li (0.3350, 0.1475, 0.6690) x1
Li (0.5260, 0.2967, 0.3260) x1
Li (0.7085, 0.4885, 0.9898) x1
Li (0.7483, 0.6507, 0.6682) x1
Li (0.7573, 0.1589, 0.1498) x1
Li (0.7588, 0.6532, 0.1584) x1
Li (0.7696, 0.1461, 0.6704) x1
Li (0.8368, 0.8186, 0.3290) x1
Cr (0.2589, 0.1505, 0.1583) x1
Cr (0.2615, 0.6538, 0.1617) x1
Cr (0.2639, 0.6509, 0.6613) x1
P (0.5158, 0.5225, 0.4676) x1
P (0.5166, 0.9638, 0.4808) x1
P (0.5201, 0.9724, 0.0262) x1
P (0.9956, 0.3268, 0.2913) x1
P (0.9956, 0.3514, 0.8364) x1
P (0.9976, 0.7765, 0.8615) x1
O (0.0018, 0.2061, 0.4608) x1
O (0.0019, 0.2997, 0.7176) x1
O (0.0019, 0.9464, 0.8151) x1
O (0.0303, 0.2120, 0.0034) x1
O (0.0302, 0.4937, 0.2639) x1
O (0.0353, 0.7529, 0.7203) x1
O (0.1855, 0.3075, 0.2023) x1
O (0.1858, 0.4591, 0.8196) x1
O (0.1872, 0.6844, 0.9702) x1
O (0.3192, 0.5958, 0.3655) x1
O (0.3229, 0.0112, 0.0933) x1
O (0.3231, 0.8584, 0.5179) x1
O (0.4810, 0.0874, 0.3054) x1
O (0.4814, 0.5664, 0.5962) x1
O (0.4843, 0.7960, 0.0845) x1
O (0.5185, 0.3492, 0.5270) x1
O (0.5203, 0.0529, 0.5668) x1
O (0.5222, 0.0672, 0.8534) x1
O (0.7141, 0.6037, 0.3820) x1
O (0.7152, 0.8752, 0.4914) x1
O (0.7164, 0.9825, 0.1061) x1
O (0.7957, 0.3238, 0.2104) x1
O (0.8029, 0.4389, 0.8363) x1
O (0.8060, 0.6886, 0.9491) x1
F (0.0384, 0.0211, 0.2911) x1
F (0.0394, 0.6496, 0.5330) x1
F (0.0394, 0.7856, 0.1575) x1
F (0.4695, 0.2941, 0.0327) x1
F (0.4718, 0.5125, 0.1613) x1
F (0.4739, 0.6426, 0.8007) x1

Summary:
ΔH_f (0 K)	-2.66	eV/atom

***

3.
A relaxed CuMoF6 crystal, computed with PBE with a Hubbard U.

a b c (Å): 5.2243 5.2243 14.0857
angles (deg): 90.00 90.00 120.00
Space group R-3 (No. 148, hexagonal axes)
Asymmetric unit:
Cu (0.0000, 0.0000, 0.0000) x3
Mo (0.0000, 0.0000, 0.5000) x3
F (0.0060, 0.3729, 0.2474) x18

Summary:
ΔH_f (0 K)	-2.35	eV/atom
excess energy over the best structure of this formula in the dataset	36.5	meV per atom

***

4.
A relaxed LiMnF4 crystal, computed with PBE with a Hubbard U.

a b c (Å): 4.6958 5.8173 10.1743
angles (deg): 90.00 90.00 90.00
Space group Pbcn (No. 60)
Asymmetric unit:
Li (0.0000, 0.1629, 0.2500) x4
Mn (0.0000, 0.5000, 0.0000) x4
F (0.2101, 0.4679, 0.1543) x8
F (0.2389, 0.2060, 0.4170) x8

Summary:
ΔH_f (0 K)	-2.37	eV/atom

***

5.
A relaxed MgMn5Cr2O12 crystal, computed with PBE with a Hubbard U.

a b c (Å): 5.1371 8.9798 10.2924
angles (deg): 90.00 102.29 90.00
Space group C2 (No. 5)
Asymmetric unit:
Mg (0.0000, 0.0000, 0.0000) x2
Mn (0.0000, 0.1439, 0.5000) x2
Mn (0.0000, 0.4847, 0.5000) x2
Mn (0.0000, 0.6540, 0.0000) x2
Mn (0.2460, 0.3282, 0.7599) x4
Cr (0.0000, 0.3271, 0.0000) x2
Cr (0.0000, 0.8143, 0.5000) x2
O (0.1042, 0.3245, 0.3938) x4
O (0.1047, 0.8135, 0.8923) x4
O (0.1199, 0.4888, 0.8978) x4
O (0.1359, 0.6493, 0.4032) x4
O (0.1408, 0.9717, 0.3943) x4
O (0.1426, 0.1726, 0.8927) x4

Summary:
ΔH_f (0 K)	-2.08	eV/atom
excess energy over the best structure of this formula in the dataset	0.0	meV per atom

***

6.
A relaxed SrMnV2Ag2O8 crystal, computed with PBE with a Hubbard U.

a b c (Å): 10.0148 5.6908 13.9325
angles (deg): 90.00 90.80 90.00
Space group C2/c (No. 15)
Asymmetric unit:
Sr (0.0000, 0.0828, 0.2500) x4
Mn (0.0000, 0.0000, 0.0000) x4
V (0.1735, 0.4610, 0.8699) x8
Ag (0.1609, 0.4509, 0.5959) x8
O (0.0746, 0.2061, 0.8811) x8
O (0.1117, 0.3085, 0.4416) x8
O (0.1583, 0.0923, 0.0992) x8
O (0.1635, 0.4388, 0.2532) x8

Summary:
ΔH_f (0 K)	-2.12	eV/atom

***

7.
A relaxed Sr2MgFeCoO6 crystal, computed with PBE with a Hubbard U.

a b c (Å): 5.4955 5.5248 10.0332
angles (deg): 90.00 90.00 90.00
Space group Immm (No. 71)
Asymmetric unit:
Sr (0.0000, 0.0000, 0.1793) x4
Mg (0.0000, 0.0000, 0.5000) x2
Fe (0.0000, 0.5000, 0.5000) x2
Co (0.0000, 0.5000, 0.0000) x2
O (0.0000, 0.5000, 0.3016) x4
O (0.2382, 0.2603, 0.0000) x8

Summary:
ΔH_f (0 K)	-2.14	eV/atom

***

8.
A relaxed Li4Nb2V3Co3O16 crystal, computed with PBE with a Hubbard U.

a b c (Å): 10.3853 5.9715 9.7885
angles (deg): 90.00 90.55 90.00
Space group Cm (No. 8)
Asymmetric unit:
Li (0.0000, 0.0000, 0.0000) x2
Li (0.0015, 0.0000, 0.5077) x2
Li (0.1582, 0.5000, 0.9117) x2
Li (0.3294, 0.0000, 0.4152) x2
Nb (0.1622, 0.5000, 0.5122) x2
Nb (0.3429, 0.0000, 0.0011) x2
V (0.0881, 0.2549, 0.2300) x4
V (0.1720, 0.0000, 0.7404) x2
Co (0.3271, 0.5000, 0.2209) x2
Co (0.4077, 0.2469, 0.7240) x4
O (0.0051, 0.0000, 0.3185) x2
O (0.0062, 0.0000, 0.8109) x2
O (0.0151, 0.5000, 0.3477) x2
O (0.0839, 0.2532, 0.6027) x4
O (0.1449, 0.5000, 0.1167) x2
O (0.1616, 0.0000, 0.1151) x2
O (0.2289, 0.2709, 0.3492) x4
O (0.2461, 0.2176, 0.8649) x4
O (0.3108, 0.0000, 0.6211) x2
O (0.3300, 0.5000, 0.5936) x2
O (0.4182, 0.2491, 0.1073) x4
O (0.4746, 0.0000, 0.8615) x2

Summary:
ΔH_f (0 K)	-2.32	eV/atom
excess energy over the best structure of this formula in the dataset	16.8	meV per atom

***

9.
A relaxed La2MgTiNiO6 crystal, computed with PBE with a Hubbard U.

a b c (Å): 5.5262 5.5863 10.1745
angles (deg): 90.00 90.00 90.00
Space group Immm (No. 71)
Asymmetric unit:
La (0.0000, 0.0000, 0.1645) x4
Mg (0.0000, 0.0000, 0.5000) x2
Ti (0.0000, 0.5000, 0.5000) x2
Ni (0.0000, 0.5000, 0.0000) x2
O (0.0000, 0.5000, 0.3012) x4
O (0.2438, 0.2402, 0.0000) x8

Summary:
ΔH_f (0 K)	-2.67	eV/atom

***

| no. | energy with MP2020 corrections (eV per atom) |
| --- | --- |
| 1 | -8.86 |
| 2 | -6.87 |
| 3 | -5.65 |
| 4 | -5.50 |
| 5 | -8.39 |
| 6 | -7.42 |
| 7 | -6.71 |
| 8 | -7.87 |
| 9 | -7.65 |